Here is a geometry-optimized Gd2Re3Si5 structure from the Materials Project database. Energies are from PBE-GGA.

Output
- M_tot (μB/atom) = 1.3930
- energy relative to the elements (eV per atom) = -0.5574

a b c (Å): 10.987 10.987 5.582
angles (deg): 90.00 90.00 90.00
Element x y z (fractional)
Gd (0.077, 0.238, 0.000)
Gd (0.238, 0.923, 0.000)
Gd (0.262, 0.423, 0.500)
Gd (0.423, 0.738, 0.500)
Gd (0.577, 0.262, 0.500)
Gd (0.738, 0.577, 0.500)
Gd (0.762, 0.077, 0.000)
Gd (0.923, 0.762, 0.000)
Re (0.000, 0.500, 0.250)
Re (0.000, 0.500, 0.750)
Re (0.123, 0.853, 0.500)
Re (0.147, 0.123, 0.500)
Re (0.353, 0.623, 0.000)
Re (0.377, 0.353, 0.000)
Re (0.500, 0.000, 0.250)
Re (0.500, 0.000, 0.750)
Re (0.623, 0.647, 0.000)
Re (0.647, 0.377, 0.000)
Re (0.853, 0.877, 0.500)
Re (0.877, 0.147, 0.500)
Si (0.000, 0.000, 0.244)
Si (0.000, 0.000, 0.756)
Si (0.027, 0.315, 0.500)
Si (0.172, 0.672, 0.250)
Si (0.172, 0.672, 0.750)
Si (0.185, 0.473, 0.000)
Si (0.315, 0.973, 0.500)
Si (0.328, 0.172, 0.250)
Si (0.328, 0.172, 0.750)
Si (0.473, 0.815, 0.000)
Si (0.500, 0.500, 0.256)
Si (0.500, 0.500, 0.744)
Si (0.527, 0.185, 0.000)
Si (0.672, 0.828, 0.250)
Si (0.672, 0.828, 0.750)
Si (0.685, 0.027, 0.500)
Si (0.815, 0.527, 0.000)
Si (0.828, 0.328, 0.250)
Si (0.828, 0.328, 0.750)
Si (0.973, 0.685, 0.500)



Here is a geometry-optimized GdRe4Si2 structure from the Materials Project database. Energies are from PBE-GGA.

Output
- energy relative to the elements (eV per atom) = -0.4459

a b c (Å): 7.432 7.432 4.144
angles (deg): 90.00 90.00 90.00
Element x y z (fractional)
Gd (0.000, 0.000, 0.000)
Gd (0.500, 0.500, 0.500)
Re (0.093, 0.341, 0.500)
Re (0.159, 0.593, 0.000)
Re (0.341, 0.093, 0.500)
Re (0.407, 0.841, 0.000)
Re (0.593, 0.159, 0.000)
Re (0.659, 0.907, 0.500)
Re (0.841, 0.407, 0.000)
Re (0.907, 0.659, 0.500)
Si (0.211, 0.789, 0.500)
Si (0.289, 0.289, 0.000)
Si (0.711, 0.711, 0.000)
Si (0.789, 0.211, 0.500)



Here is a geometry-optimized GdRh structure from the Materials Project database. Energies are from PBE-GGA.

Output
- energy relative to the elements (eV per atom) = -0.8024

a b c (Å): 3.476 3.476 3.476
angles (deg): 90.00 90.00 90.00
Element x y z (fractional)
Gd (0.000, 0.000, 0.000)
Rh (0.500, 0.500, 0.500)